Li2CrP4H12O18: relaxed, PBE with a Hubbard U.

Cell lengths 8.060, 11.586, 8.937 Å; angles 90.00, 114.78, 90.00 degrees
Space group P2_1/m (No. 11)
One atom of each set of equivalent atoms:
Li  0.019  0.250  0.070
Li  0.247  0.750  0.409
Cr  0.471  0.250  0.237
P  0.288  0.515  0.143
P  0.304  0.002  0.663
H  0.059  0.183  0.368
H  0.088  0.182  0.784
H  0.172  0.517  0.835
H  0.249  0.510  0.372
H  0.391  0.182  0.488
H  0.419  0.683  0.993
O  0.015  0.250  0.787
O  0.016  0.250  0.295
O  0.164  0.035  0.737
O  0.191  0.585  0.988
O  0.248  0.570  0.287
O  0.260  0.114  0.135
O  0.263  0.076  0.510
O  0.311  0.626  0.634
O  0.457  0.250  0.470
O  0.486  0.750  0.979
O  0.497  0.044  0.808

Calculated values
**E (MP2020)**: -6.414 eV per atom
**Formation energy**: -72.41 eV per formula unit
**M_tot**: 4.00 μB per formula unit